<a>
The following is a DFT calculation (GGA+U) of MgTiMn3O8 after structural relaxation.

```
data_MgTiMn3O8
_chemical_formula_sum 'Mg1 Ti1 Mn3 O8'
_cell_length_a 5.8887
_cell_length_b 6.0971
_cell_length_c 5.9564
_cell_angle_alpha 59.00
_cell_angle_beta 62.03
_cell_angle_gamma 61.78
_symmetry_space_group_name_H-M 'P 1'
_symmetry_Int_Tables_number 1
loop_
_symmetry_equiv_pos_as_xyz
'x,y,z'
loop_
_atom_site_label
_atom_site_type_symbol
_atom_site_fract_x
_atom_site_fract_y
_atom_site_fract_z
Mg1 Mg 0.0020 0.9960 0.9982
Ti1 Ti 0.6274 0.5958 0.1413
O1 O 0.4003 0.8180 0.3803
O2 O 0.8413 0.8703 0.8799
O3 O 0.8258 0.4027 0.4062
O4 O 0.4213 0.3648 0.3746
O5 O 0.8703 0.8456 0.4099
O6 O 0.8637 0.4078 0.8705
O7 O 0.3848 0.4108 0.8304
O8 O 0.4131 0.8460 0.8581
Mn1 Mn 0.6231 0.1206 0.6354
Mn2 Mn 0.1280 0.6248 0.6250
Mn3 Mn 0.6199 0.6240 0.6214
```

Summary:
V: 11.86 Å³/atom

***

<b>
The following is a DFT calculation (GGA+U) of MgTiMn3O8 after structural relaxation.

```
data_MgTiMn3O8
_chemical_formula_sum 'Mg1 Ti1 Mn3 O8'
_cell_length_a 5.8705
_cell_length_b 6.0651
_cell_length_c 6.0940
_cell_angle_alpha 57.57
_cell_angle_beta 61.13
_cell_angle_gamma 61.45
_symmetry_space_group_name_H-M 'P 1'
_symmetry_Int_Tables_number 1
loop_
_symmetry_equiv_pos_as_xyz
'x,y,z'
loop_
_atom_site_label
_atom_site_type_symbol
_atom_site_fract_x
_atom_site_fract_y
_atom_site_fract_z
O1 O 0.8786 0.9205 0.3958
O2 O 0.8883 0.4698 0.8283
O3 O 0.4471 0.9147 0.8376
O4 O 0.4390 0.4097 0.3402
O5 O 0.4368 0.4091 0.7925
O6 O 0.8828 0.9170 0.8310
O7 O 0.8899 0.4116 0.3358
O8 O 0.4317 0.8660 0.3475
Mn1 Mn 0.1593 0.6613 0.5842
Mn2 Mn 0.6645 0.1587 0.5885
Mn3 Mn 0.6644 0.6629 0.5894
Ti1 Ti 0.6697 0.6749 0.0712
Mg1 Mg 0.2979 0.2740 0.2080
```

Summary:
V: 11.78 Å³/atom

***

Verdict on stability: <a> comes out at the bottom.

***

<a>
The following is a DFT calculation (GGA+U) of MgScMo3O8 after structural relaxation.

```
data_MgScMo3O8
_chemical_formula_sum 'Mg1 Sc1 Mo3 O8'
_cell_length_a 6.0336
_cell_length_b 6.0273
_cell_length_c 5.0450
_cell_angle_alpha 88.78
_cell_angle_beta 91.23
_cell_angle_gamma 118.02
_symmetry_space_group_name_H-M 'P 1'
_symmetry_Int_Tables_number 1
loop_
_symmetry_equiv_pos_as_xyz
'x,y,z'
loop_
_atom_site_label
_atom_site_type_symbol
_atom_site_fract_x
_atom_site_fract_y
_atom_site_fract_z
Mo1 Mo 0.8333 0.6669 0.2530
Mo2 Mo 0.8339 0.1672 0.2530
Mo3 Mo 0.3336 0.1667 0.2529
O1 O 0.9900 0.4897 0.5115
O2 O 0.0031 0.9970 0.4838
O3 O 0.5007 0.4988 0.4598
O4 O 0.1564 0.3239 0.9953
O5 O 0.6641 0.3368 0.0220
O6 O 0.6770 0.8443 0.9952
O7 O 0.1661 0.8345 0.0459
O8 O 0.5109 0.0097 0.5104
Mg1 Mg 0.8334 0.1663 0.7530
Sc1 Sc 0.3329 0.6668 0.7532
```

Summary:
V: 12.45 Å³/atom

***

<b>
The following is a DFT calculation (GGA+U) of MgScMo3O8 after structural relaxation.

```
data_MgScMo3O8
_chemical_formula_sum 'Mg1 Sc1 Mo3 O8'
_cell_length_a 6.2909
_cell_length_b 6.1115
_cell_length_c 4.9642
_cell_angle_alpha 89.34
_cell_angle_beta 90.66
_cell_angle_gamma 118.90
_symmetry_space_group_name_H-M 'P 1'
_symmetry_Int_Tables_number 1
loop_
_symmetry_equiv_pos_as_xyz
'x,y,z'
loop_
_atom_site_label
_atom_site_type_symbol
_atom_site_fract_x
_atom_site_fract_y
_atom_site_fract_z
O1 O 0.5006 0.4882 0.4907
O2 O 0.6691 0.3423 0.0535
O3 O 0.0096 0.9921 0.4611
O4 O 0.1750 0.3345 0.0204
O5 O 0.6544 0.8184 0.0004
O6 O 0.9793 0.4944 0.4915
O7 O 0.5023 0.0131 0.4948
O8 O 0.1726 0.8415 0.0237
Mg1 Mg 0.6693 0.3335 0.6827
Mo1 Mo 0.8360 0.1560 0.2419
Mo2 Mo 0.3237 0.1607 0.2340
Mo3 Mo 0.8331 0.6851 0.2410
Sc1 Sc 0.3333 0.6653 0.7564
```

Summary:
V: 12.85 Å³/atom

***

<c>
The following is a DFT calculation (GGA+U) of MgScMo3O8 after structural relaxation.

```
data_MgScMo3O8
_chemical_formula_sum 'Mg1 Sc1 Mo3 O8'
_cell_length_a 6.1410
_cell_length_b 6.1989
_cell_length_c 5.1737
_cell_angle_alpha 90.10
_cell_angle_beta 89.15
_cell_angle_gamma 119.21
_symmetry_space_group_name_H-M 'P 1'
_symmetry_Int_Tables_number 1
loop_
_symmetry_equiv_pos_as_xyz
'x,y,z'
loop_
_atom_site_label
_atom_site_type_symbol
_atom_site_fract_x
_atom_site_fract_y
_atom_site_fract_z
O1 O 0.1777 0.8211 0.0282
O2 O 0.0141 0.5150 0.4745
O3 O 0.9834 0.9895 0.4485
O4 O 0.4893 0.5124 0.4772
O5 O 0.6546 0.8195 0.0322
O6 O 0.6842 0.3442 0.0586
O7 O 0.4991 0.9806 0.4724
O8 O 0.1680 0.3534 0.0334
Mo1 Mo 0.8337 0.1667 0.2536
Mo2 Mo 0.3337 0.1669 0.2531
Mo3 Mo 0.8333 0.6672 0.2526
Mg1 Mg 0.3345 0.6675 0.2524
Sc1 Sc 0.3297 0.6648 0.7522
```

Summary:
V: 13.22 Å³/atom

***

Verdict on stability: <a> comes out at the bottom.

***

<a>
The following is a DFT calculation (GGA+U) of Li2MnSiO4 after structural relaxation.

```
data_Li2MnSiO4
_chemical_formula_sum 'Li8 Mn4 Si4 O16'
_cell_length_a 6.3795
_cell_length_b 7.4931
_cell_length_c 7.4925
_cell_angle_alpha 94.73
_cell_angle_beta 90.11
_cell_angle_gamma 90.11
_symmetry_space_group_name_H-M 'P 1'
_symmetry_Int_Tables_number 1
loop_
_symmetry_equiv_pos_as_xyz
'x,y,z'
loop_
_atom_site_label
_atom_site_type_symbol
_atom_site_fract_x
_atom_site_fract_y
_atom_site_fract_z
Mn1 Mn 0.2443 0.3317 0.6654
Mn2 Mn 0.2445 0.8324 0.1654
Mn3 Mn 0.7442 0.4151 0.0825
Mn4 Mn 0.7444 0.9149 0.5822
Li1 Li 0.7507 0.8412 0.1581
Li2 Li 0.2507 0.4077 0.0916
Li3 Li 0.7507 0.3412 0.6581
Li4 Li 0.2508 0.9076 0.5916
Li5 Li 0.9983 0.1734 0.3254
Li6 Li 0.9983 0.6733 0.8254
Li7 Li 0.4984 0.5750 0.4238
Li8 Li 0.4984 0.0750 0.9238
O1 O 0.5046 0.8283 0.0022
O2 O 0.5046 0.3283 0.5022
O3 O 0.7137 0.0433 0.3497
O4 O 0.0047 0.7518 0.5787
O5 O 0.9931 0.8915 0.0036
O6 O 0.7852 0.6145 0.2945
O7 O 0.2853 0.0441 0.3649
O8 O 0.4932 0.2532 0.1419
O9 O 0.7853 0.1145 0.7944
O10 O 0.0046 0.2518 0.0787
O11 O 0.2137 0.0992 0.7937
O12 O 0.4932 0.7532 0.6419
O13 O 0.2137 0.5994 0.2936
O14 O 0.7137 0.5432 0.8497
O15 O 0.9931 0.3915 0.5036
O16 O 0.2853 0.5440 0.8648
Si1 Si 0.9991 0.5875 0.4171
Si2 Si 0.9990 0.0875 0.9171
Si3 Si 0.4991 0.1668 0.3379
Si4 Si 0.4990 0.6667 0.8379
```

Summary:
V: 11.15 Å³/atom

***

<b>
The following is a DFT calculation (GGA+U) of Li2MnSiO4 after structural relaxation.

```
data_Li2MnSiO4
_chemical_formula_sum 'Li8 Mn4 Si4 O16'
_cell_length_a 5.0720
_cell_length_b 6.3240
_cell_length_c 10.9716
_cell_angle_alpha 90.00
_cell_angle_beta 90.00
_cell_angle_gamma 90.00
_symmetry_space_group_name_H-M 'P 1'
_symmetry_Int_Tables_number 1
loop_
_symmetry_equiv_pos_as_xyz
'x,y,z'
loop_
_atom_site_label
_atom_site_type_symbol
_atom_site_fract_x
_atom_site_fract_y
_atom_site_fract_z
O1 O 0.5890 0.0088 0.3308
O2 O 0.0890 0.9912 0.6692
O3 O 0.0890 0.5088 0.1692
O4 O 0.1532 0.9955 0.1897
O5 O 0.1693 0.7142 0.9071
O6 O 0.6532 0.0045 0.8103
O7 O 0.5890 0.4912 0.8308
O8 O 0.6528 0.7810 0.5996
O9 O 0.1528 0.2810 0.9004
O10 O 0.6532 0.4955 0.3103
O11 O 0.1528 0.2190 0.4004
O12 O 0.6693 0.2858 0.0929
O13 O 0.1693 0.7858 0.4071
O14 O 0.6693 0.2142 0.5929
O15 O 0.1532 0.5045 0.6897
O16 O 0.6528 0.7190 0.0996
Si1 Si 0.7642 0.9980 0.6681
Si2 Si 0.2642 0.4980 0.8319
Si3 Si 0.2642 0.0020 0.3319
Si4 Si 0.7642 0.5020 0.1681
Li1 Li 0.7585 0.4979 0.6736
Li2 Li 0.2595 0.7442 0.0922
Li3 Li 0.7595 0.2558 0.9078
Li4 Li 0.2585 0.5021 0.3264
Li5 Li 0.2585 0.9979 0.8264
Li6 Li 0.7595 0.2442 0.4078
Li7 Li 0.7585 0.0021 0.1736
Li8 Li 0.2595 0.7558 0.5922
Mn1 Mn 0.2566 0.2533 0.0825
Mn2 Mn 0.7566 0.7467 0.9175
Mn3 Mn 0.2566 0.2467 0.5825
Mn4 Mn 0.7566 0.7533 0.4175
```

Summary:
piezoelectric modulus e_max: 0.89 C/m2
V: 11.00 Å³/atom

***

<c>
The following is a DFT calculation (GGA+U) of Li2MnSiO4 after structural relaxation.

```
data_Li2MnSiO4
_chemical_formula_sum 'Li12 Mn6 Si6 O24'
_cell_length_a 5.0450
_cell_length_b 8.7377
_cell_length_c 11.8255
_cell_angle_alpha 89.99
_cell_angle_beta 90.00
_cell_angle_gamma 90.00
_symmetry_space_group_name_H-M 'P 1'
_symmetry_Int_Tables_number 1
loop_
_symmetry_equiv_pos_as_xyz
'x,y,z'
loop_
_atom_site_label
_atom_site_type_symbol
_atom_site_fract_x
_atom_site_fract_y
_atom_site_fract_z
Li1 Li 0.7261 0.1637 0.4139
Li2 Li 0.8825 0.5551 0.0806
Li3 Li 0.8914 0.2187 0.9194
Li4 Li 0.8825 0.4449 0.5861
Li5 Li 0.2262 0.3363 0.2527
Li6 Li 0.3914 0.7188 0.9194
Li7 Li 0.3914 0.2812 0.7472
Li8 Li 0.3825 0.0551 0.0806
Li9 Li 0.2261 0.6637 0.4139
Li10 Li 0.3825 0.9449 0.5861
Li11 Li 0.8914 0.7813 0.7472
Li12 Li 0.7261 0.8363 0.2527
O1 O 0.2159 0.9207 0.9679
O2 O 0.7300 0.8294 0.8914
O3 O 0.2300 0.3293 0.8914
O4 O 0.0110 0.8524 0.3655
O5 O 0.7160 0.5793 0.6988
O6 O 0.7159 0.4206 0.9679
O7 O 0.2732 0.5682 0.0321
O8 O 0.7301 0.1705 0.7753
O9 O 0.2159 0.0793 0.6988
O10 O 0.2732 0.4318 0.6345
O11 O 0.3790 0.2796 0.1086
O12 O 0.8910 0.4504 0.2248
O13 O 0.8790 0.7797 0.1086
O14 O 0.5111 0.3524 0.3655
O15 O 0.3910 0.9504 0.2248
O16 O 0.5111 0.6476 0.3012
O17 O 0.8790 0.2203 0.5581
O18 O 0.7732 0.0683 0.0322
O19 O 0.2301 0.6706 0.7752
O20 O 0.0110 0.1476 0.3012
O21 O 0.7733 0.9317 0.6345
O22 O 0.3910 0.0496 0.4419
O23 O 0.3791 0.7204 0.5581
O24 O 0.8910 0.5497 0.4419
Si1 Si 0.8985 0.8985 0.0000
Si2 Si 0.2031 0.0000 0.3333
Si3 Si 0.8985 0.1015 0.6667
Si4 Si 0.3985 0.6016 0.6667
Si5 Si 0.3985 0.3984 0.0000
Si6 Si 0.7031 0.5000 0.3333
Mn1 Mn 0.4538 0.0000 0.8334
Mn2 Mn 0.7728 0.2271 0.1667
Mn3 Mn 0.9538 0.5000 0.8334
Mn4 Mn 0.7728 0.7729 0.4999
Mn5 Mn 0.2727 0.7272 0.1667
Mn6 Mn 0.2727 0.2728 0.4999
```

Summary:
V: 10.86 Å³/atom

***

<d>
The following is a DFT calculation (GGA+U) of Li2MnSiO4 after structural relaxation.

```
data_Li2MnSiO4
_chemical_formula_sum 'Li8 Mn4 Si4 O16'
_cell_length_a 5.4679
_cell_length_b 5.9839
_cell_length_c 11.0613
_cell_angle_alpha 82.71
_cell_angle_beta 90.00
_cell_angle_gamma 90.00
_symmetry_space_group_name_H-M 'P 1'
_symmetry_Int_Tables_number 1
loop_
_symmetry_equiv_pos_as_xyz
'x,y,z'
loop_
_atom_site_label
_atom_site_type_symbol
_atom_site_fract_x
_atom_site_fract_y
_atom_site_fract_z
O1 O 0.6953 0.0910 0.8198
O2 O 0.7137 0.5221 0.3368
O3 O 0.6170 0.7630 0.5748
O4 O 0.1170 0.2370 0.9252
O5 O 0.3245 0.7608 0.9567
O6 O 0.7863 0.5221 0.8368
O7 O 0.8047 0.0910 0.3198
O8 O 0.1953 0.9090 0.6802
O9 O 0.3047 0.9090 0.1802
O10 O 0.6755 0.2392 0.0433
O11 O 0.3830 0.2370 0.4252
O12 O 0.8830 0.7630 0.0748
O13 O 0.2863 0.4779 0.6632
O14 O 0.2137 0.4779 0.1632
O15 O 0.8245 0.2392 0.5433
O16 O 0.1755 0.7608 0.4567
Li1 Li 0.8197 0.7737 0.4272
Li2 Li 0.1783 0.0432 0.3323
Li3 Li 0.3217 0.0432 0.8323
Li4 Li 0.1803 0.2263 0.5728
Li5 Li 0.8217 0.9568 0.6677
Li6 Li 0.6803 0.7737 0.9272
Li7 Li 0.3197 0.2263 0.0728
Li8 Li 0.6783 0.9568 0.1677
Mn1 Mn 0.8210 0.4254 0.1680
Mn2 Mn 0.6790 0.4254 0.6680
Mn3 Mn 0.1790 0.5746 0.8320
Mn4 Mn 0.3210 0.5746 0.3320
Si1 Si 0.6820 0.2567 0.4115
Si2 Si 0.1820 0.7433 0.0885
Si3 Si 0.3180 0.7433 0.5885
Si4 Si 0.8180 0.2567 0.9115
```

Summary:
V: 11.22 Å³/atom

***

Verdict on stability: <c> comes out at the bottom.

***

<a>
The following is a DFT calculation (GGA+U) of Li5Fe8B8O24 after structural relaxation.

```
data_Li5Fe8B8O24
_chemical_formula_sum 'Li5 Fe8 B8 O24'
_cell_length_a 5.2450
_cell_length_b 9.0681
_cell_length_c 10.2210
_cell_angle_alpha 89.01
_cell_angle_beta 89.59
_cell_angle_gamma 89.51
_symmetry_space_group_name_H-M 'P 1'
_symmetry_Int_Tables_number 1
loop_
_symmetry_equiv_pos_as_xyz
'x,y,z'
loop_
_atom_site_label
_atom_site_type_symbol
_atom_site_fract_x
_atom_site_fract_y
_atom_site_fract_z
Fe1 Fe 0.1752 0.8270 0.6344
Fe2 Fe 0.6863 0.9971 0.1189
Fe3 Fe 0.1837 0.4983 0.1334
Fe4 Fe 0.6494 0.3537 0.6243
Fe5 Fe 0.3225 0.9892 0.8851
Fe6 Fe 0.8312 0.5059 0.8757
Fe7 Fe 0.3339 0.6489 0.3815
Fe8 Fe 0.8168 0.1721 0.3805
O1 O 0.7981 0.4599 0.0856
O2 O 0.0917 0.4922 0.3318
O3 O 0.6895 0.0535 0.9187
O4 O 0.1683 0.1155 0.3573
O5 O 0.6957 0.3065 0.8485
O6 O 0.2687 0.6266 0.5882
O7 O 0.4097 0.3200 0.1078
O8 O 0.2073 0.7830 0.8256
O9 O 0.8183 0.8764 0.6165
O10 O 0.4132 0.9996 0.6579
O11 O 0.7093 0.6326 0.3649
O12 O 0.7863 0.1381 0.5857
O13 O 0.8085 0.2115 0.1783
O14 O 0.2187 0.8637 0.4303
O15 O 0.9020 0.5088 0.6821
O16 O 0.0904 0.1678 0.8605
O17 O 0.5854 0.0033 0.3556
O18 O 0.7203 0.3721 0.4186
O19 O 0.1907 0.5347 0.9161
O20 O 0.3234 0.7085 0.1622
O21 O 0.9153 0.8269 0.1423
O22 O 0.5901 0.6572 0.8888
O23 O 0.2771 0.3658 0.6361
O24 O 0.2956 0.9654 0.0949
B1 B 0.6697 0.3320 0.1247
B2 B 0.1763 0.8332 0.1330
B3 B 0.8405 0.5006 0.3714
B4 B 0.1512 0.4985 0.6354
B5 B 0.3330 0.6587 0.8758
B6 B 0.8280 0.1728 0.8766
B7 B 0.6721 0.0027 0.6222
B8 B 0.3224 0.9954 0.3829
Li1 Li 0.3368 0.3227 0.9061
Li2 Li 0.6832 0.6656 0.1506
Li3 Li 0.8250 0.8289 0.4107
Li4 Li 0.1539 0.1719 0.6614
Li5 Li 0.1889 0.1624 0.1671
```

Summary:
V: 10.80 Å³/atom

***

<b>
The following is a DFT calculation (GGA+U) of Li5Fe8B8O24 after structural relaxation.

```
data_Li5Fe8B8O24
_chemical_formula_sum 'Li5 Fe8 B8 O24'
_cell_length_a 5.2645
_cell_length_b 9.0394
_cell_length_c 11.4419
_cell_angle_alpha 112.98
_cell_angle_beta 102.50
_cell_angle_gamma 89.62
_symmetry_space_group_name_H-M 'P 1'
_symmetry_Int_Tables_number 1
loop_
_symmetry_equiv_pos_as_xyz
'x,y,z'
loop_
_atom_site_label
_atom_site_type_symbol
_atom_site_fract_x
_atom_site_fract_y
_atom_site_fract_z
O1 O 0.4008 0.7929 0.1658
O2 O 0.0341 0.1010 0.8861
O3 O 0.7467 0.3352 0.6580
O4 O 0.5803 0.6689 0.6039
O5 O 0.6354 0.0130 0.9213
O6 O 0.8618 0.7877 0.3532
O7 O 0.3705 0.3150 0.3626
O8 O 0.7552 0.1773 0.3426
O9 O 0.4748 0.3787 0.1189
O10 O 0.1650 0.4959 0.9192
O11 O 0.9191 0.5671 0.4185
O12 O 0.4412 0.0984 0.4373
O13 O 0.1107 0.7174 0.8479
O14 O 0.6279 0.2102 0.8296
O15 O 0.8453 0.5084 0.0947
O16 O 0.3397 0.0041 0.0851
O17 O 0.9787 0.8894 0.1300
O18 O 0.5504 0.9259 0.5888
O19 O 0.2537 0.8399 0.6878
O20 O 0.2593 0.6555 0.3414
O21 O 0.5075 0.5895 0.8501
O22 O 0.9058 0.2973 0.1769
O23 O 0.1576 0.2128 0.6618
O24 O 0.0849 0.4214 0.5804
B1 B 0.9959 0.3183 0.6322
B2 B 0.4637 0.8128 0.6284
B3 B 0.2351 0.8930 0.1267
B4 B 0.5226 0.1962 0.3836
B5 B 0.7682 0.1049 0.8770
B6 B 0.2651 0.6010 0.8744
B7 B 0.0148 0.6746 0.3702
B8 B 0.7394 0.3966 0.1301
Fe1 Fe 0.5168 0.8574 0.3814
Fe2 Fe 0.0139 0.3479 0.3798
Fe3 Fe 0.9665 0.6615 0.6354
Fe4 Fe 0.2503 0.5635 0.1293
Fe5 Fe 0.4951 0.1517 0.6311
Fe6 Fe 0.7739 0.4532 0.8876
Fe7 Fe 0.2666 0.9311 0.8823
Fe8 Fe 0.7459 0.0563 0.1246
Li1 Li 0.2721 0.2667 0.8749
Li2 Li 0.7718 0.7499 0.1685
Li3 Li 0.4869 0.5099 0.6653
Li4 Li 0.2598 0.2385 0.1532
Li5 Li 0.5259 0.5424 0.4083
```

Summary:
V: 10.84 Å³/atom

***

Verdict on stability: <a> comes out at the bottom.